Ho2B4O9, optimized geometry, DFT PBE; E_form = -3.277 eV per atom; space group = C2/c; volume = 9.12 A^3/atom
1.0
2.209 12.621 0.000
-2.209 12.621 0.000
0.000 4.320 24.531
B O Ho
40 90 20
Direct
0.581 0.126 0.559 B
0.586 0.912 0.282 B
0.227 0.630 0.970 B
0.841 0.451 0.837 B
0.419 0.874 0.441 B
0.036 0.480 0.039 B
0.726 0.075 0.193 B
0.957 0.652 0.867 B
0.451 0.841 0.337 B
0.370 0.773 0.530 B
0.127 0.768 0.775 B
0.038 0.779 0.877 B
0.043 0.348 0.133 B
0.274 0.925 0.807 B
0.925 0.274 0.307 B
0.414 0.088 0.718 B
0.783 0.159 0.934 B
0.630 0.227 0.470 B
0.549 0.159 0.663 B
0.075 0.726 0.693 B
0.348 0.043 0.633 B
0.912 0.586 0.782 B
0.520 0.964 0.461 B
0.652 0.957 0.367 B
0.159 0.783 0.434 B
0.768 0.127 0.275 B
0.088 0.414 0.218 B
0.126 0.581 0.059 B
0.873 0.232 0.225 B
0.232 0.873 0.725 B
0.217 0.841 0.066 B
0.964 0.520 0.961 B
0.874 0.419 0.941 B
0.779 0.038 0.377 B
0.773 0.370 0.030 B
0.480 0.036 0.539 B
0.221 0.962 0.623 B
0.159 0.549 0.163 B
0.841 0.217 0.566 B
0.962 0.221 0.123 B
0.594 0.190 0.428 O
0.744 0.559 0.444 O
0.732 0.029 0.702 O
0.794 0.085 0.889 O
0.049 0.541 0.172 O
0.610 0.195 0.247 O
0.271 0.334 0.865 O
0.707 0.034 0.609 O
0.810 0.406 0.072 O
0.145 0.139 0.135 O
0.218 0.327 0.755 O
0.559 0.318 0.979 O
0.729 0.666 0.135 O
0.406 0.810 0.572 O
0.951 0.459 0.828 O
0.503 0.223 0.164 O
0.777 0.497 0.336 O
0.676 0.324 0.250 O
0.340 0.706 0.413 O
0.318 0.559 0.479 O
0.805 0.091 0.774 O
0.033 0.756 0.016 O
0.382 0.748 0.669 O
0.139 0.145 0.635 O
0.220 0.206 0.686 O
0.252 0.618 0.831 O
0.777 0.130 0.160 O
0.441 0.682 0.021 O
0.692 0.910 0.556 O
0.441 0.256 0.056 O
0.091 0.805 0.274 O
0.214 0.341 0.986 O
0.098 0.856 0.956 O
0.294 0.660 0.087 O
0.682 0.441 0.521 O
0.915 0.206 0.611 O
0.902 0.144 0.044 O
0.971 0.268 0.798 O
0.130 0.777 0.660 O
0.780 0.794 0.314 O
0.559 0.744 0.944 O
0.390 0.805 0.753 O
0.618 0.252 0.331 O
0.788 0.753 0.919 O
0.794 0.780 0.814 O
0.706 0.340 0.913 O
0.756 0.033 0.516 O
0.206 0.915 0.111 O
0.244 0.967 0.484 O
0.334 0.271 0.365 O
0.190 0.594 0.928 O
0.541 0.049 0.672 O
0.497 0.777 0.836 O
0.870 0.223 0.340 O
0.085 0.794 0.389 O
0.293 0.966 0.391 O
0.666 0.729 0.635 O
0.223 0.503 0.664 O
0.247 0.212 0.581 O
0.268 0.971 0.298 O
0.327 0.218 0.255 O
0.223 0.870 0.840 O
0.341 0.214 0.486 O
0.090 0.308 0.944 O
0.029 0.732 0.202 O
0.748 0.382 0.169 O
0.805 0.390 0.253 O
0.206 0.220 0.186 O
0.324 0.676 0.750 O
0.967 0.244 0.984 O
0.855 0.861 0.865 O
0.659 0.786 0.514 O
0.910 0.692 0.056 O
0.782 0.673 0.245 O
0.909 0.195 0.726 O
0.861 0.855 0.365 O
0.256 0.441 0.556 O
0.034 0.707 0.109 O
0.786 0.659 0.014 O
0.308 0.090 0.444 O
0.660 0.294 0.587 O
0.856 0.098 0.456 O
0.673 0.782 0.745 O
0.195 0.610 0.747 O
0.195 0.909 0.226 O
0.966 0.293 0.891 O
0.144 0.902 0.544 O
0.212 0.247 0.081 O
0.459 0.951 0.328 O
0.753 0.788 0.419 O
0.682 0.341 0.821 Ho
0.536 0.182 0.793 Ho
0.464 0.818 0.207 Ho
0.818 0.464 0.707 Ho
0.579 0.990 0.129 Ho
0.271 0.859 0.927 Ho
0.421 0.010 0.871 Ho
0.659 0.318 0.679 Ho
0.010 0.421 0.371 Ho
0.389 0.917 0.038 Ho
0.729 0.141 0.073 Ho
0.341 0.682 0.321 Ho
0.083 0.611 0.462 Ho
0.859 0.271 0.427 Ho
0.318 0.659 0.179 Ho
0.917 0.389 0.538 Ho
0.141 0.729 0.573 Ho
0.990 0.579 0.629 Ho
0.182 0.536 0.293 Ho
0.611 0.083 0.962 Ho

---

TiAlO3, optimized geometry, DFT PBE; E_form = -3.299 eV per atom; space group = R-3; volume = 9.78 A^3/atom
1.0
4.847 -2.469 0.000
4.847 2.469 0.000
3.589 0.000 4.088
O Ti Al
6 2 2
Direct
0.947 0.561 0.229 O
0.229 0.947 0.561 O
0.053 0.439 0.771 O
0.439 0.771 0.053 O
0.771 0.053 0.439 O
0.561 0.229 0.947 O
0.351 0.351 0.351 Ti
0.649 0.649 0.649 Ti
0.849 0.849 0.849 Al
0.151 0.151 0.151 Al

---

RbH2I3O9, optimized geometry, DFT PBE; E_form = -1.074 eV per atom; space group = P1; volume = 15.87 A^3/atom
1.0
7.595 -0.054 0.700
0.780 7.515 1.622
0.005 0.010 8.336
O H I Rb
18 4 6 2
Direct
0.465 0.833 0.842 O
0.728 0.535 0.290 O
0.284 0.753 0.250 O
0.724 0.421 0.623 O
0.107 0.454 0.398 O
0.803 0.661 0.910 O
0.651 0.966 0.101 O
0.031 0.340 0.769 O
0.547 0.238 0.438 O
0.959 0.793 0.497 O
0.872 0.194 0.185 O
0.322 0.533 0.696 O
0.194 0.015 0.575 O
0.111 0.562 0.067 O
0.833 0.034 0.687 O
0.373 0.180 0.843 O
0.016 0.954 0.999 O
0.508 0.466 0.984 O
0.998 0.586 0.010 H
0.401 0.052 0.830 H
0.842 0.400 0.676 H
0.444 0.488 0.881 H
0.582 0.694 0.010 I
0.025 0.870 0.676 I
0.250 0.329 0.661 I
0.821 0.116 0.003 I
0.069 0.673 0.259 I
0.762 0.317 0.427 I
0.557 0.806 0.504 Rb
0.275 0.176 0.193 Rb

---

Ba5As3SO12, optimized geometry, DFT PBE; E_form = -2.585 eV per atom; space group = P6_3/m; volume = 18.94 A^3/atom
1.0
-3.027 3.235 9.866
-6.955 0.605 -8.260
-2.534 -7.259 1.602
O S As Ba
24 2 6 10
Direct
0.268 0.909 0.573 O
0.268 0.909 0.927 O
0.732 0.091 0.073 O
0.660 0.510 0.750 O
0.528 0.124 0.250 O
0.909 0.641 0.073 O
0.124 0.596 0.750 O
0.340 0.490 0.250 O
0.404 0.528 0.750 O
0.596 0.472 0.250 O
0.490 0.150 0.750 O
0.091 0.359 0.927 O
0.359 0.268 0.427 O
0.641 0.732 0.573 O
0.510 0.850 0.250 O
0.850 0.340 0.750 O
0.091 0.359 0.573 O
0.909 0.641 0.427 O
0.876 0.404 0.250 O
0.150 0.660 0.250 O
0.359 0.268 0.073 O
0.641 0.732 0.927 O
0.732 0.091 0.427 O
0.472 0.876 0.750 O
0.000 0.000 0.500 S
0.000 0.000 0.000 S
0.623 0.033 0.250 As
0.410 0.377 0.250 As
0.377 0.967 0.750 As
0.033 0.410 0.750 As
0.590 0.623 0.750 As
0.967 0.590 0.250 As
0.333 0.667 0.499 Ba
0.752 0.007 0.750 Ba
0.993 0.745 0.750 Ba
0.667 0.333 0.999 Ba
0.255 0.248 0.750 Ba
0.007 0.255 0.250 Ba
0.667 0.333 0.501 Ba
0.248 0.993 0.250 Ba
0.333 0.667 0.001 Ba
0.745 0.752 0.250 Ba

---

Gd7Br3O18, optimized geometry, DFT PBE; E_form = -2.011 eV per atom; space group = P6_3/m; volume = 17.03 A^3/atom
1.0
-1.822 -0.943 -2.903
14.984 -0.591 -9.216
-5.793 -14.393 8.311
O Gd Br
36 14 6
Direct
0.250 0.821 0.070 O
0.250 0.604 0.848 O
0.750 0.821 0.392 O
0.250 0.152 0.756 O
0.750 0.289 0.558 O
0.750 0.263 0.324 O
0.250 0.179 0.608 O
0.750 0.990 0.851 O
0.250 0.249 0.179 O
0.750 0.442 0.731 O
0.750 0.861 0.010 O
0.750 0.396 0.152 O
0.750 0.676 0.939 O
0.750 0.179 0.930 O
0.250 0.558 0.269 O
0.250 0.731 0.289 O
0.250 0.737 0.676 O
0.250 0.851 0.861 O
0.750 0.571 0.179 O
0.250 0.010 0.149 O
0.250 0.139 0.990 O
0.750 0.070 0.249 O
0.750 0.608 0.429 O
0.750 0.149 0.139 O
0.750 0.756 0.604 O
0.750 0.848 0.244 O
0.250 0.930 0.751 O
0.250 0.939 0.263 O
0.250 0.392 0.571 O
0.250 0.429 0.821 O
0.250 0.711 0.442 O
0.250 0.324 0.061 O
0.750 0.269 0.711 O
0.250 0.244 0.396 O
0.750 0.061 0.737 O
0.750 0.751 0.821 O
0.750 0.839 0.759 Gd
0.750 0.123 0.651 Gd
0.250 0.651 0.528 Gd
0.750 0.349 0.472 Gd
0.250 0.877 0.349 Gd
0.250 0.333 0.667 Gd
0.750 0.241 0.080 Gd
0.250 0.080 0.839 Gd
0.250 0.472 0.123 Gd
0.750 0.528 0.877 Gd
0.250 0.161 0.241 Gd
0.750 0.920 0.161 Gd
0.750 0.667 0.333 Gd
0.250 0.759 0.920 Gd
0.750 0.396 0.952 Br
0.750 0.556 0.604 Br
0.750 0.048 0.444 Br
0.250 0.444 0.396 Br
0.250 0.604 0.048 Br
0.250 0.952 0.556 Br

---

PrB5IO11, optimized geometry, DFT PBE; E_form = -2.492 eV per atom; space group = P2_1/c; volume = 15.07 A^3/atom
1.0
15.803 0.000 0.000
0.000 6.569 0.000
0.000 6.319 10.450
O B I Pr
44 20 4 4
Direct
0.696 0.626 0.988 O
0.960 0.441 0.363 O
0.448 0.393 0.425 O
0.600 0.899 0.666 O
0.190 0.774 0.447 O
0.400 0.101 0.334 O
0.241 0.667 0.294 O
0.906 0.380 0.651 O
0.040 0.559 0.637 O
0.540 0.441 0.863 O
0.717 0.816 0.111 O
0.259 0.667 0.794 O
0.690 0.226 0.053 O
0.100 0.101 0.834 O
0.260 0.075 0.740 O
0.810 0.226 0.553 O
0.217 0.184 0.389 O
0.687 0.057 0.886 O
0.460 0.559 0.137 O
0.313 0.943 0.114 O
0.760 0.925 0.760 O
0.783 0.816 0.611 O
0.740 0.925 0.260 O
0.804 0.626 0.488 O
0.079 0.194 0.467 O
0.283 0.184 0.889 O
0.813 0.057 0.386 O
0.579 0.806 0.033 O
0.900 0.899 0.166 O
0.921 0.806 0.533 O
0.948 0.607 0.075 O
0.240 0.075 0.240 O
0.759 0.333 0.706 O
0.187 0.943 0.614 O
0.094 0.620 0.349 O
0.552 0.607 0.575 O
0.196 0.374 0.512 O
0.052 0.393 0.925 O
0.406 0.620 0.849 O
0.310 0.774 0.947 O
0.741 0.333 0.206 O
0.421 0.194 0.967 O
0.594 0.380 0.151 O
0.304 0.374 0.012 O
0.678 0.396 0.100 B
0.668 0.825 0.001 B
0.544 0.582 0.107 B
0.322 0.604 0.900 B
0.832 0.825 0.501 B
0.288 0.004 0.865 B
0.956 0.582 0.607 B
0.712 0.996 0.135 B
0.764 0.100 0.286 B
0.168 0.175 0.499 B
0.044 0.418 0.393 B
0.736 0.100 0.786 B
0.236 0.900 0.714 B
0.456 0.418 0.893 B
0.212 0.004 0.365 B
0.264 0.900 0.214 B
0.332 0.175 0.999 B
0.788 0.996 0.635 B
0.178 0.604 0.400 B
0.822 0.396 0.600 B
0.970 0.169 0.043 I
0.530 0.169 0.543 I
0.030 0.831 0.957 I
0.470 0.831 0.457 I
0.175 0.463 0.691 Pr
0.325 0.463 0.191 Pr
0.675 0.537 0.809 Pr
0.825 0.537 0.309 Pr

---

Rb3Ca2Cl7, optimized geometry, DFT PBE; E_form = -2.545 eV per atom; space group = I4/mmm; volume = 33.38 A^3/atom
1.0
-2.703 2.703 13.705
2.703 -2.703 13.705
2.703 2.703 -13.705
Cl Rb Ca
7 3 2
Direct
0.096 0.596 0.500 Cl
0.596 0.096 0.500 Cl
0.904 0.404 0.500 Cl
0.000 0.000 0.000 Cl
0.404 0.904 0.500 Cl
0.198 0.198 0.000 Cl
0.802 0.802 0.000 Cl
0.683 0.683 0.000 Rb
0.317 0.317 0.000 Rb
0.500 0.500 0.000 Rb
0.100 0.100 0.000 Ca
0.900 0.900 0.000 Ca

---

CeAu2, optimized geometry, DFT PBE; E_form = -0.678 eV per atom; space group = Imma; volume = 22.96 A^3/atom
1.0
4.538 -1.971 -3.282
3.630 0.837 4.623
-4.618 -3.609 -0.944
Au Ce
4 2
Direct
0.699 0.164 0.535 Au
0.129 0.164 0.965 Au
0.871 0.836 0.035 Au
0.301 0.836 0.465 Au
0.715 0.465 0.250 Ce
0.285 0.535 0.750 Ce

---

La5S8, optimized geometry, DFT PBE; E_form = -2.331 eV per atom; space group = I-4; volume = 25.75 A^3/atom
1.0
4.395 -5.785 -2.148
-2.945 -1.452 6.827
-5.601 0.909 -5.019
La S
5 8
Direct
0.135 0.751 0.120 La
0.631 0.015 0.880 La
0.500 0.500 0.000 La
0.985 0.865 0.616 La
0.249 0.369 0.384 La
0.872 0.958 0.231 S
0.356 0.118 0.601 S
0.882 0.483 0.238 S
0.727 0.641 0.769 S
0.359 0.128 0.085 S
0.042 0.273 0.915 S
0.517 0.755 0.399 S
0.245 0.644 0.762 S